Arrangement a

First-principles (PBE with a Hubbard U) data for a relaxed structure of Li4V3P8O29, as listed in the Materials Project database.

Results
Total magnetic moment in μB per atom: 0.023
Crystal system: triclinic

Lattice parameters (Å, degrees): 9.759 9.776 14.242 90.05 90.25 119.94
Atoms (fractional coordinates):
Li1 0.000 0.000 0.000
Li2 0.009 0.414 0.492
Li3 0.100 0.172 0.604
Li4 0.445 0.983 0.490
Li5 0.464 0.850 0.987
Li6 0.553 0.170 0.110
Li7 0.754 0.028 0.544
Li8 0.869 0.397 0.993
V1 0.210 0.515 0.296
V2 0.211 0.080 0.800
V3 0.343 0.080 0.301
V4 0.347 0.645 0.801
V5 0.775 0.517 0.791
V6 0.780 0.650 0.306
P1 0.004 0.990 0.213
P2 0.007 0.394 0.708
P3 0.091 0.308 0.890
P4 0.092 0.172 0.392
P5 0.109 0.748 0.917
P6 0.112 0.742 0.421
P7 0.439 0.409 0.682
P8 0.450 0.417 0.184
P9 0.458 0.850 0.204
P10 0.462 0.990 0.709
P11 0.552 0.173 0.889
P12 0.554 0.774 0.386
P13 0.695 0.303 0.390
P14 0.696 0.766 0.891
P15 0.859 0.860 0.706
P16 0.863 0.399 0.208
O1 0.001 0.311 0.972
O2 0.002 0.102 0.480
O3 0.014 0.069 0.124
O4 0.032 0.422 0.214
O5 0.035 0.998 0.713
O6 0.096 0.754 0.021
O7 0.100 0.722 0.525
O8 0.102 0.589 0.375
O9 0.113 0.900 0.872
O10 0.116 0.162 0.890
O11 0.120 0.344 0.383
O12 0.157 0.981 0.234
O13 0.159 0.551 0.722
O14 0.247 0.172 0.381
O15 0.251 0.460 0.874
O16 0.263 0.751 0.885
O17 0.266 0.889 0.387
O18 0.284 0.261 0.725
O19 0.296 0.701 0.228
O20 0.304 0.423 0.230
O21 0.305 0.992 0.725
O22 0.392 0.621 0.379
O23 0.398 0.181 0.870
O24 0.427 0.390 0.578
O25 0.433 0.821 0.723
O26 0.443 0.000 0.211
O27 0.446 0.263 0.220
O28 0.449 0.424 0.080
O29 0.449 0.558 0.725
O30 0.520 0.164 0.389
O31 0.520 0.835 0.112
O32 0.527 0.743 0.891
O33 0.538 0.083 0.977
O34 0.539 0.058 0.618
O35 0.572 0.883 0.465
O36 0.573 0.087 0.798
O37 0.576 0.867 0.288
O38 0.587 0.403 0.725
O39 0.596 0.557 0.234
O40 0.685 0.604 0.867
O41 0.690 0.736 0.387
O42 0.698 0.340 0.889
O43 0.699 0.463 0.382
O44 0.763 0.280 0.290
O45 0.777 0.875 0.799
O46 0.781 0.325 0.117
O47 0.784 0.884 0.622
O48 0.786 0.287 0.468
O49 0.792 0.844 0.975
O50 0.854 0.698 0.715
O51 0.860 0.821 0.223
O52 0.862 0.421 0.718
O53 0.871 0.558 0.228
O54 0.963 0.603 0.869
O55 0.967 0.749 0.376
O56 0.984 0.083 0.301
O57 0.989 0.280 0.794
O58 0.999 0.309 0.618

Arrangement b

First-principles (PBE with a Hubbard U) data for a relaxed structure of Li4V3P8O29, as listed in the Materials Project database.

Results
Total magnetic moment in μB per atom: 0.023
Crystal system: triclinic

Lattice parameters (Å, degrees): 9.800 9.804 14.016 89.76 89.76 60.05
Atoms (fractional coordinates):
Li1 0.000 0.000 0.000
Li2 0.004 0.585 0.504
Li3 0.130 0.002 0.504
Li4 0.142 0.447 0.000
Li5 0.327 0.900 0.880
Li6 0.456 0.770 0.384
Li7 0.549 0.448 0.505
Li8 0.905 0.771 0.878
V1 0.228 0.112 0.692
V2 0.234 0.243 0.197
V3 0.657 0.245 0.696
V4 0.665 0.670 0.186
V5 0.789 0.113 0.196
V6 0.797 0.676 0.691
P1 0.139 0.996 0.283
P2 0.142 0.445 0.786
P3 0.315 0.361 0.601
P4 0.317 0.909 0.101
P5 0.458 0.364 0.099
P6 0.461 0.765 0.600
P7 0.544 0.449 0.285
P8 0.546 0.590 0.784
P9 0.563 0.005 0.314
P10 0.564 0.008 0.816
P11 0.894 0.343 0.569
P12 0.902 0.339 0.071
P13 0.911 0.766 0.102
P14 0.911 0.909 0.600
P15 0.996 0.996 0.784
P16 0.997 0.590 0.285
O1 0.016 0.884 0.696
O2 0.018 0.679 0.193
O3 0.040 0.189 0.609
O4 0.048 0.345 0.112
O5 0.130 0.295 0.765
O6 0.133 0.156 0.265
O7 0.140 0.421 0.274
O8 0.144 0.013 0.784
O9 0.219 0.438 0.878
O10 0.225 0.449 0.516
O11 0.226 0.920 0.372
O12 0.228 0.886 0.192
O13 0.230 0.919 0.012
O14 0.234 0.464 0.697
O15 0.311 0.931 0.602
O16 0.314 0.336 0.106
O17 0.323 0.061 0.120
O18 0.328 0.199 0.617
O19 0.414 0.156 0.268
O20 0.415 0.005 0.776
O21 0.436 0.466 0.196
O22 0.440 0.673 0.688
O23 0.458 0.680 0.869
O24 0.465 0.443 0.011
O25 0.470 0.679 0.509
O26 0.476 0.440 0.377
O27 0.484 0.340 0.604
O28 0.485 0.765 0.107
O29 0.557 0.011 0.419
O30 0.561 0.858 0.273
O31 0.563 0.158 0.768
O32 0.565 0.013 0.922
O33 0.567 0.595 0.278
O34 0.571 0.421 0.776
O35 0.609 0.778 0.617
O36 0.612 0.202 0.121
O37 0.706 0.581 0.767
O38 0.707 0.296 0.264
O39 0.709 0.011 0.268
O40 0.718 0.863 0.776
O41 0.741 0.347 0.612
O42 0.750 0.491 0.116
O43 0.750 0.775 0.119
O44 0.752 0.061 0.620
O45 0.844 0.584 0.263
O46 0.846 0.157 0.766
O47 0.888 0.344 0.462
O48 0.889 0.763 0.601
O49 0.890 0.934 0.103
O50 0.899 0.191 0.112
O51 0.899 0.345 0.965
O52 0.901 0.489 0.609
O53 0.971 0.021 0.276
O54 0.975 0.594 0.780
O55 0.983 0.922 0.876
O56 0.986 0.679 0.012
O57 0.990 0.668 0.375
O58 0.996 0.917 0.515

Stability summary: most stable arrangement a, least stable arrangement b.

Arrangement a

First-principles (PBE with a Hubbard U) data for a relaxed structure of Li2Fe3CoO8, as listed in the Materials Project database.

Results
Total magnetic moment in μB per atom: 1.071
Crystal system: trigonal

Lattice parameters (Å, degrees): 5.895 5.895 5.895 60.36 60.36 60.36
Atoms (fractional coordinates):
Li1 0.000 0.000 0.000
Li2 0.379 0.379 0.379
Fe1 0.002 0.002 0.492
Fe2 0.002 0.492 0.002
Fe3 0.492 0.002 0.002
Co1 0.615 0.615 0.615
O1 0.211 0.751 0.751
O2 0.245 0.245 0.245
O3 0.246 0.246 0.792
O4 0.246 0.792 0.246
O5 0.751 0.211 0.751
O6 0.751 0.751 0.211
O7 0.752 0.752 0.752
O8 0.792 0.246 0.246

Arrangement b

First-principles (PBE with a Hubbard U) data for a relaxed structure of Li2Fe3CoO8, as listed in the Materials Project database.

Results
Total magnetic moment in μB per atom: 1.071
Crystal system: cubic

Lattice parameters (Å, degrees): 8.101 8.101 8.101 90.00 90.00 90.00
Atoms (fractional coordinates):
Li1 0.001 0.001 0.001
Li2 0.249 0.249 0.249
Li3 0.251 0.751 0.749
Li4 0.499 0.999 0.501
Li5 0.501 0.499 0.999
Li6 0.749 0.251 0.751
Li7 0.751 0.749 0.251
Li8 0.999 0.501 0.499
Fe1 0.124 0.126 0.625
Fe2 0.125 0.376 0.874
Fe3 0.126 0.625 0.124
Fe4 0.374 0.375 0.624
Fe5 0.375 0.624 0.374
Fe6 0.376 0.874 0.125
Fe7 0.624 0.374 0.375
Fe8 0.625 0.124 0.126
Fe9 0.626 0.875 0.876
Fe10 0.874 0.125 0.376
Fe11 0.875 0.876 0.626
Fe12 0.876 0.626 0.875
Co1 0.125 0.875 0.375
Co2 0.375 0.125 0.875
Co3 0.625 0.625 0.625
Co4 0.875 0.375 0.125
O1 0.108 0.109 0.389
O2 0.109 0.389 0.108
O3 0.111 0.611 0.889
O4 0.111 0.892 0.609
O5 0.139 0.361 0.639
O6 0.139 0.641 0.358
O7 0.141 0.142 0.861
O8 0.142 0.861 0.141
O9 0.358 0.139 0.641
O10 0.359 0.858 0.361
O11 0.361 0.359 0.858
O12 0.361 0.639 0.139
O13 0.389 0.108 0.109
O14 0.389 0.389 0.389
O15 0.391 0.611 0.608
O16 0.392 0.891 0.889
O17 0.608 0.391 0.611
O18 0.609 0.111 0.892
O19 0.611 0.608 0.391
O20 0.611 0.889 0.111
O21 0.639 0.139 0.361
O22 0.639 0.859 0.642
O23 0.641 0.358 0.139
O24 0.642 0.639 0.859
O25 0.858 0.361 0.359
O26 0.859 0.642 0.639
O27 0.861 0.141 0.142
O28 0.861 0.861 0.861
O29 0.889 0.111 0.611
O30 0.889 0.392 0.891
O31 0.891 0.889 0.392
O32 0.892 0.609 0.111

Arrangement c

First-principles (PBE with a Hubbard U) data for a relaxed structure of Li2Fe3CoO8, as listed in the Materials Project database.

Results
Total magnetic moment in μB per atom: 1.071
Crystal system: hexagonal

Lattice parameters (Å, degrees): 5.903 5.903 9.377 90.00 90.00 120.00
Atoms (fractional coordinates):
Li1 0.000 0.000 0.000
Li2 0.000 0.000 0.500
Li3 0.333 0.667 0.402
Li4 0.667 0.333 0.902
Fe1 0.170 0.340 0.718
Fe2 0.170 0.830 0.718
Fe3 0.340 0.170 0.218
Fe4 0.660 0.830 0.718
Fe5 0.830 0.170 0.218
Fe6 0.830 0.660 0.218
Co1 0.333 0.667 0.989
Co2 0.667 0.333 0.489
O1 0.000 0.000 0.310
O2 0.000 0.000 0.810
O3 0.045 0.523 0.855
O4 0.171 0.342 0.103
O5 0.171 0.829 0.103
O6 0.333 0.667 0.609
O7 0.342 0.171 0.603
O8 0.477 0.523 0.855
O9 0.477 0.955 0.855
O10 0.523 0.045 0.355
O11 0.523 0.477 0.355
O12 0.658 0.829 0.103
O13 0.667 0.333 0.109
O14 0.829 0.171 0.603
O15 0.829 0.658 0.603
O16 0.955 0.477 0.355

Stability summary: most stable arrangement c, least stable arrangement b.

Arrangement a

First-principles (PBE with a Hubbard U) data for a relaxed structure of MgFe3Co2SbP6O24, as listed in the Materials Project database.

Results
Total magnetic moment in μB per atom: 0.506
Crystal system: triclinic

Lattice parameters (Å, degrees): 8.465 8.665 8.695 61.15 61.31 62.03
Atoms (fractional coordinates):
Mg1 0.000 0.000 0.000
Fe1 0.412 0.010 0.777
Fe2 0.601 0.225 0.982
Fe3 0.900 0.497 0.276
Co1 0.276 0.851 0.635
Co2 0.749 0.369 0.137
Sb1 0.115 0.708 0.494
P1 0.009 0.308 0.679
P2 0.195 0.105 0.173
P3 0.304 0.599 0.086
P4 0.512 0.406 0.585
P5 0.711 0.894 0.391
P6 0.817 0.811 0.888
O1 0.002 0.254 0.199
O2 0.015 0.792 0.715
O3 0.077 0.464 0.649
O4 0.162 0.522 0.116
O5 0.164 0.109 0.712
O6 0.191 0.939 0.371
O7 0.213 0.033 0.030
O8 0.234 0.677 0.248
O9 0.301 0.777 0.904
O10 0.347 0.609 0.564
O11 0.367 0.152 0.122
O12 0.424 0.256 0.651
O13 0.504 0.462 0.075
O14 0.510 0.933 0.542
O15 0.577 0.392 0.725
O16 0.646 0.897 0.823
O17 0.652 0.419 0.387
O18 0.742 0.743 0.332
O19 0.743 0.073 0.223
O20 0.819 0.617 0.028
O21 0.826 0.945 0.948
O22 0.856 0.837 0.489
O23 0.862 0.282 0.881
O24 0.952 0.345 0.525

Arrangement b

First-principles (PBE with a Hubbard U) data for a relaxed structure of MgFe3Co2SbP6O24, as listed in the Materials Project database.

Results
Total magnetic moment in μB per atom: 0.514
Crystal system: triclinic

Lattice parameters (Å, degrees): 8.694 8.731 8.736 60.26 60.39 60.42
Atoms (fractional coordinates):
Mg1 0.000 0.000 0.000
Fe1 0.276 0.273 0.272
Fe2 0.761 0.759 0.760
Fe3 0.881 0.877 0.877
Co1 0.135 0.132 0.131
Co2 0.632 0.628 0.624
Sb1 0.481 0.479 0.479
P1 0.081 0.675 0.371
P2 0.179 0.573 0.875
P3 0.373 0.078 0.676
P4 0.575 0.875 0.175
P5 0.678 0.372 0.079
P6 0.878 0.176 0.572
O1 0.013 0.630 0.811
O2 0.026 0.199 0.380
O3 0.071 0.875 0.233
O4 0.128 0.535 0.292
O5 0.137 0.739 0.925
O6 0.201 0.380 0.023
O7 0.229 0.619 0.462
O8 0.234 0.069 0.875
O9 0.293 0.126 0.535
O10 0.374 0.565 0.704
O11 0.382 0.022 0.198
O12 0.463 0.228 0.619
O13 0.537 0.885 0.682
O14 0.538 0.290 0.126
O15 0.568 0.704 0.369
O16 0.620 0.462 0.228
O17 0.633 0.811 0.010
O18 0.683 0.535 0.885
O19 0.707 0.370 0.564
O20 0.742 0.926 0.133
O21 0.814 0.011 0.630
O22 0.878 0.233 0.070
O23 0.885 0.681 0.535
O24 0.927 0.134 0.740

Stability summary: most stable arrangement a, least stable arrangement b.